No. 1
Material: U6Nb4Al43
Method: DFT, PBE
State: relaxed

a b c (Å): 11.1326 11.1326 17.5683
angles (deg): 90.00 90.00 120.00
Fractional positions:
Al1 0.8538 0.8538 0.7500
Al2 0.5932 0.1480 0.7500
U1 0.5262 0.5262 0.4101
Al3 0.7622 0.1576 0.1630
U2 0.5262 0.0000 0.5899
Al4 0.8424 0.2378 0.6630
Al5 0.2569 0.2569 0.0295
Al6 0.0000 0.7431 0.0295
Al7 0.6046 0.7622 0.6630
Al8 0.7528 0.2472 0.5000
U3 0.0000 0.4738 0.0899
Al9 0.6667 0.3333 0.8731
Al10 0.7431 0.0000 0.4705
U4 0.4738 0.0000 0.0899
Nb1 0.0000 0.0000 0.0000
Al11 0.2472 0.4943 0.0000
Al12 0.6046 0.8424 0.1630
Al13 0.6667 0.3333 0.3731
Al14 0.3333 0.6667 0.1269
Al15 0.5548 0.1480 0.2500
Al16 0.5057 0.7528 0.5000
Al17 0.1604 0.1604 0.8851
Al18 0.8520 0.4068 0.2500
Nb2 0.0000 0.0000 0.5000
Al19 0.2378 0.3954 0.1630
Al20 0.0000 0.2569 0.9705
Nb3 0.2751 0.2751 0.7500
Al21 0.1604 0.1604 0.6149
Al22 0.1576 0.7622 0.1630
Nb4 0.2751 0.0000 0.2500
Al23 0.3333 0.6667 0.6269
U5 0.4738 0.4738 0.5899
U6 0.4738 0.4738 0.9101
Nb5 0.7249 0.7249 0.2500
Al24 0.8396 0.8396 0.1149
Al25 0.2472 0.7528 0.0000
Al26 0.1604 0.0000 0.1149
Al27 0.8424 0.6046 0.1630
Al28 0.1462 0.0000 0.7500
Nb6 0.0000 0.7249 0.7500
Al29 0.5932 0.4452 0.2500
Al30 0.4452 0.5932 0.2500
Al31 0.6046 0.7622 0.8370
Al32 0.7622 0.6046 0.6630
Al33 0.8396 0.8396 0.3851
Al34 0.8396 0.0000 0.8851
Al35 0.1576 0.7622 0.3370
U7 0.0000 0.4738 0.4101
Al36 0.4943 0.2472 0.5000
Al37 0.1480 0.5932 0.7500
Al38 0.3954 0.1576 0.8370
Al39 0.8424 0.2378 0.8370
Al40 0.3954 0.2378 0.3370
Al41 0.4068 0.8520 0.2500
Nb7 0.7249 0.0000 0.7500
Al42 0.2569 0.0000 0.5295
Al43 0.1480 0.5548 0.2500
Al44 0.0000 0.8538 0.2500
U8 0.4738 0.0000 0.4101
Al45 0.7528 0.5057 0.5000
Al46 0.0000 0.1604 0.3851
Al47 0.7528 0.5057 0.0000
Al48 0.1604 0.0000 0.3851
U9 0.0000 0.5262 0.5899
Nb8 0.0000 0.2751 0.2500
Al49 0.0000 0.8396 0.8851
Al50 0.0000 0.7431 0.4705
Al51 0.5548 0.4068 0.7500
Al52 0.3333 0.6667 0.8731
U10 0.5262 0.0000 0.9101
Al53 0.2378 0.3954 0.3370
Al54 0.7528 0.2472 0.0000
Al55 0.2569 0.0000 0.9705
Al56 0.1462 0.1462 0.2500
Al57 0.3954 0.1576 0.6630
Al58 0.1576 0.3954 0.6630
Al59 0.2378 0.8424 0.6630
Al60 0.2472 0.4943 0.5000
Al61 0.4943 0.2472 0.0000
Al62 0.4452 0.8520 0.7500
Al63 0.0000 0.2569 0.5295
Al64 0.4068 0.5548 0.7500
Al65 0.2472 0.7528 0.5000
Al66 0.0000 0.1604 0.1149
Al67 0.7622 0.6046 0.8370
Al68 0.5057 0.7528 0.0000
Al69 0.3333 0.6667 0.3731
Al70 0.2378 0.8424 0.8370
Al71 0.6667 0.3333 0.1269
Al72 0.8396 0.0000 0.6149
Al73 0.6046 0.8424 0.3370
Al74 0.8424 0.6046 0.3370
Al75 0.8520 0.4452 0.7500
Al76 0.6667 0.3333 0.6269
Al77 0.0000 0.1462 0.7500
Al78 0.3954 0.2378 0.1630
Al79 0.2569 0.2569 0.4705
Al80 0.0000 0.8396 0.6149
Al81 0.7431 0.0000 0.0295
Al82 0.1576 0.3954 0.8370
U11 0.0000 0.5262 0.9101
Al83 0.7622 0.1576 0.3370
U12 0.5262 0.5262 0.0899
Al84 0.7431 0.7431 0.9705
Al85 0.8538 0.0000 0.2500
Al86 0.7431 0.7431 0.5295

Results
**Magnetic moment**: 32.80 Bohr magnetons per cell
**Energy of formation**: -1047 kJ/mol of formula units
**Total energy**: -5.284 eV/atom



No. 2
Material: NbAlV2
Method: DFT, PBE
State: relaxed

a b c (Å): 2.7272 2.7272 8.7440
angles (deg): 90.00 90.00 109.27
Fractional positions:
Nb1 0.5000 0.5000 0.7456
Al1 0.0000 0.0000 0.0156
V1 0.5000 0.5000 0.2595
V2 0.0000 0.0000 0.4794

Results
**Magnetic moment**: 0.00 Bohr magnetons per cell
**Energy of formation**: -25 kJ/mol of formula units
**Total energy**: -8.068 eV/atom